Record 1
First-principles (PBE) data for a relaxed structure of SmYNi2, as listed in the Materials Project database.

a b c (Å): 5.538 5.538 4.154
angles (deg): 90.00 90.00 139.73
Atoms (fractional coordinates):
1 Sm 0.141 0.859 0.000
2 Ni 0.569 0.431 0.500
3 Ni 0.429 0.571 0.000
4 Y 0.860 0.140 0.500

Values from the calculation:
total energy	-6.082	eV per atom
calculated formation energy	-396	meV/atom

***

Record 2
First-principles (PBE) data for a relaxed structure of GeN2F6, as listed in the Materials Project database.

a b c (Å): 5.568 5.568 5.568
angles (deg): 60.00 60.00 60.00
Atoms (fractional coordinates):
1 F 0.232 0.768 0.768
2 F 0.232 0.768 0.232
3 F 0.768 0.768 0.232
4 F 0.768 0.232 0.232
5 F 0.768 0.232 0.768
6 F 0.232 0.232 0.768
7 N 0.750 0.750 0.750
8 N 0.250 0.250 0.250
9 Ge 0.000 0.000 0.000

Values from the calculation:
total energy	-3.719	eV per atom
calculated formation energy	-385	meV/atom
excess energy over the best structure of this formula in the dataset	0.172	eV per formula unit

***

Record 3
First-principles (PBE) data for a relaxed structure of KZrH2OF5, as listed in the Materials Project database.

a b c (Å): 12.364 7.739 11.214
angles (deg): 81.23 90.00 90.00
Atoms (fractional coordinates):
1 O 0.845 0.121 0.723
2 O 0.643 0.383 0.541
3 O 0.155 0.879 0.277
4 O 0.655 0.121 0.223
5 O 0.357 0.617 0.459
6 O 0.345 0.879 0.777
7 O 0.857 0.383 0.041
8 O 0.143 0.617 0.959
9 F 0.127 0.251 0.616
10 F 0.881 0.061 0.257
11 F 0.368 0.554 0.979
12 F 0.619 0.061 0.757
13 F 0.701 0.789 0.274
14 F 0.140 0.014 0.475
15 F 0.132 0.554 0.479
16 F 0.799 0.789 0.774
17 F 0.378 0.530 0.703
18 F 0.640 0.986 0.025
19 F 0.122 0.530 0.203
20 F 0.381 0.939 0.243
21 F 0.632 0.446 0.021
22 F 0.725 0.252 0.886
23 F 0.371 0.964 0.527
24 F 0.373 0.251 0.116
25 F 0.225 0.748 0.614
26 F 0.622 0.470 0.297
27 F 0.868 0.446 0.521
28 F 0.119 0.939 0.743
29 F 0.129 0.964 0.027
30 F 0.775 0.252 0.386
31 F 0.878 0.470 0.797
32 F 0.873 0.749 0.384
33 F 0.860 0.986 0.525
34 F 0.871 0.036 0.973
35 F 0.201 0.211 0.226
36 F 0.701 0.718 0.497
37 F 0.355 0.490 0.253
38 F 0.201 0.282 0.003
39 F 0.299 0.211 0.726
40 F 0.645 0.510 0.747
41 F 0.799 0.718 0.997
42 F 0.627 0.749 0.884
43 F 0.299 0.282 0.503
44 F 0.629 0.036 0.473
45 F 0.855 0.510 0.247
46 F 0.360 0.014 0.975
47 F 0.145 0.490 0.753
48 F 0.275 0.748 0.114
49 H 0.146 0.583 0.877
50 H 0.349 0.929 0.854
51 H 0.162 0.752 0.299
52 H 0.838 0.248 0.701
53 H 0.338 0.752 0.799
54 H 0.854 0.417 0.123
55 H 0.151 0.929 0.354
56 H 0.662 0.248 0.201
57 H 0.651 0.071 0.146
58 H 0.354 0.583 0.377
59 H 0.849 0.071 0.646
60 H 0.144 0.745 0.951
61 H 0.856 0.255 0.049
62 H 0.356 0.745 0.451
63 H 0.646 0.417 0.623
64 H 0.644 0.255 0.549
65 Zr 0.245 0.471 0.608
66 Zr 0.745 0.529 0.892
67 Zr 0.237 0.024 0.622
68 Zr 0.255 0.471 0.108
69 Zr 0.737 0.976 0.878
70 Zr 0.755 0.529 0.392
71 Zr 0.763 0.976 0.378
72 Zr 0.263 0.024 0.122
73 K 0.476 0.299 0.880
74 K 0.961 0.798 0.147
75 K 0.039 0.202 0.853
76 K 0.539 0.798 0.647
77 K 0.976 0.701 0.620
78 K 0.024 0.299 0.380
79 K 0.461 0.202 0.353
80 K 0.524 0.701 0.120

Values from the calculation:
total energy	-5.844	eV per atom
calculated formation energy	-3048	meV/atom

***

Record 4
First-principles (PBE) data for a relaxed structure of La4Mn3Sb8, as listed in the Materials Project database.

a b c (Å): 11.577 11.577 11.577
angles (deg): 148.59 148.59 45.02
Atoms (fractional coordinates):
1 Sb 0.750 0.750 0.000
2 Sb 0.822 0.326 0.000
3 Sb 0.750 0.250 0.500
4 Sb 0.178 0.178 0.504
5 Sb 0.250 0.750 0.500
6 Sb 0.674 0.674 0.496
7 Sb 0.250 0.250 0.000
8 Sb 0.326 0.822 0.000
9 Mn 0.000 0.500 0.500
10 Mn 0.500 0.000 0.500
11 Mn 0.000 0.000 0.000
12 La 0.379 0.379 0.499
13 La 0.881 0.881 0.501
14 La 0.621 0.119 0.000
15 La 0.119 0.621 0.000

Values from the calculation:
total energy	-5.996	eV per atom
calculated formation energy	-748	meV/atom
excess energy over the best structure of this formula in the dataset	0.126	eV per formula unit